(1)
The following is a PBE+U calculation of a geometry-optimized MoH9S2Cl4O4 structure, from Materials Project.

Structure (CIF):
```
data_MoH9S2Cl4O4
_chemical_formula_sum 'Mo4 H36 S8 Cl16 O16'
_space_group_name_H-M_alt 'P 1 21/c 1'
_space_group_IT_number 14
_cell_length_a 7.565
_cell_length_b 22.694
_cell_length_c 7.333
_cell_angle_alpha 90.00
_cell_angle_beta 95.28
_cell_angle_gamma 90.00
loop_
_space_group_symop_operation_xyz
'x,y,z'
'-x,-y,-z'
'-x,y+1/2,-z+1/2'
'x,-y+1/2,z+1/2'
loop_
_atom_site_label
_atom_site_fract_x
_atom_site_fract_y
_atom_site_fract_z
Mo1 0.096 0.063 0.085
H1 0.073 0.213 0.758
H2 0.092 0.219 0.225
H3 0.257 0.689 0.373
H4 0.298 0.235 0.624
H5 0.354 0.678 0.196
H6 0.355 0.615 0.905
H7 0.464 0.189 0.557
H8 0.477 0.742 0.365
H9 0.483 0.098 0.453
S1 0.052 0.022 0.763
S2 0.222 0.525 0.427
Cl1 0.035 0.125 0.338
Cl2 0.094 0.643 0.594
Cl3 0.335 0.119 0.986
Cl4 0.339 0.024 0.321
O1 0.117 0.242 0.675
O2 0.325 0.709 0.283
O3 0.422 0.231 0.570
O4 0.440 0.631 0.001
```

=====

(2)
The following is a PBE+U calculation of a geometry-optimized NiPH4ClO3 structure, from Materials Project.

Structure (CIF):
```
data_NiPH4ClO3
_chemical_formula_sum 'Ni8 P8 H32 Cl8 O24'
_space_group_name_H-M_alt 'P b c a'
_space_group_IT_number 61
_cell_length_a 7.346
_cell_length_b 13.282
_cell_length_c 9.544
_cell_angle_alpha 90.00
_cell_angle_beta 90.00
_cell_angle_gamma 90.00
loop_
_space_group_symop_operation_xyz
'x,y,z'
'-x,-y,-z'
'-x+1/2,-y,z+1/2'
'x+1/2,y,-z+1/2'
'x+1/2,-y+1/2,-z'
'-x+1/2,y+1/2,z'
'-x,y+1/2,-z+1/2'
'x,-y+1/2,z+1/2'
loop_
_atom_site_label
_atom_site_fract_x
_atom_site_fract_y
_atom_site_fract_z
Ni1 0.121 0.004 0.144
P1 0.222 0.653 0.390
H1 0.069 0.593 0.076
H2 0.127 0.714 0.294
H3 0.201 0.218 0.490
H4 0.202 0.589 0.940
Cl1 0.126 0.099 0.737
O1 0.080 0.586 0.464
O2 0.121 0.096 0.318
O3 0.197 0.599 0.042
```

=====

(3)
The following is a PBE+U calculation of a geometry-optimized Ni5H2Se6Cl4O16 structure, from Materials Project.

Structure (CIF):
```
data_Ni5H2Se6Cl4O16
_chemical_formula_sum 'Ni20 H8 Se24 Cl16 O64'
_space_group_name_H-M_alt 'C 1 2/c 1'
_space_group_IT_number 15
_cell_length_a 22.157
_cell_length_b 8.576
_cell_length_c 13.018
_cell_angle_alpha 90.00
_cell_angle_beta 118.58
_cell_angle_gamma 90.00
loop_
_space_group_symop_operation_xyz
'x,y,z'
'-x,-y,-z'
'-x,y,-z+1/2'
'x,-y,z+1/2'
'x+1/2,y+1/2,z'
'-x+1/2,-y+1/2,-z'
'-x+1/2,y+1/2,-z+1/2'
'x+1/2,-y+1/2,z+1/2'
loop_
_atom_site_label
_atom_site_fract_x
_atom_site_fract_y
_atom_site_fract_z
Ni1 0.000 0.000 0.000
Ni2 0.164 0.086 0.191
Ni3 0.243 0.196 0.876
H1 0.023 0.343 0.924
Se1 0.099 0.188 0.900
Se2 0.116 0.283 0.600
Se3 0.181 0.439 0.289
Cl1 0.060 0.109 0.197
Cl2 0.239 0.078 0.403
O1 0.035 0.222 0.553
O2 0.066 0.370 0.922
O3 0.098 0.072 0.008
O4 0.108 0.435 0.694
O5 0.165 0.153 0.709
O6 0.182 0.253 0.954
O7 0.187 0.322 0.188
O8 0.247 0.431 0.830
```

=====

(4)
The following is a PBE+U calculation of a geometry-optimized HfMo2Se8Cl14O2 structure, from Materials Project.

Structure (CIF):
```
data_HfMo2Se8Cl14O2
_chemical_formula_sum 'Hf2 Mo4 Se16 Cl28 O4'
_space_group_name_H-M_alt 'P 1 21/c 1'
_space_group_IT_number 14
_cell_length_a 13.869
_cell_length_b 7.393
_cell_length_c 15.686
_cell_angle_alpha 90.00
_cell_angle_beta 104.29
_cell_angle_gamma 90.00
loop_
_space_group_symop_operation_xyz
'x,y,z'
'-x,-y,-z'
'-x,y+1/2,-z+1/2'
'x,-y+1/2,z+1/2'
loop_
_atom_site_label
_atom_site_fract_x
_atom_site_fract_y
_atom_site_fract_z
Hf1 0.000 0.000 0.000
Mo1 0.446 0.192 0.402
Se1 0.152 0.116 0.715
Se2 0.182 0.631 0.310
Se3 0.258 0.507 0.134
Se4 0.290 0.746 0.731
Cl1 0.024 0.121 0.859
Cl2 0.073 0.715 0.970
Cl3 0.168 0.112 0.078
Cl4 0.290 0.028 0.378
Cl5 0.379 0.723 0.568
Cl6 0.453 0.110 0.259
Cl7 0.468 0.160 0.560
O1 0.398 0.097 0.888
```

=====

(5)
The following is a PBE+U calculation of a geometry-optimized Ho2MgW2Cl2O8 structure, from Materials Project.

Structure (CIF):
```
data_Ho2MgW2Cl2O8
_chemical_formula_sum 'Ho4 Mg2 W4 Cl4 O16'
_space_group_name_H-M_alt 'C 1 2 1'
_space_group_IT_number 5
_cell_length_a 11.043
_cell_length_b 7.044
_cell_length_c 6.957
_cell_angle_alpha 90.00
_cell_angle_beta 111.29
_cell_angle_gamma 90.00
loop_
_space_group_symop_operation_xyz
'x,y,z'
'-x,y,-z'
'x+1/2,y+1/2,z'
'-x+1/2,y+1/2,-z'
loop_
_atom_site_label
_atom_site_fract_x
_atom_site_fract_y
_atom_site_fract_z
Ho1 0.242 0.000 0.106
Mg1 0.000 0.698 0.500
W1 0.140 0.508 0.266
Cl1 0.001 0.957 0.248
O1 0.039 0.513 0.782
O2 0.182 0.578 0.545
O3 0.184 0.306 0.128
O4 0.229 0.688 0.164
```

=====

(6)
The following is a PBE+U calculation of a geometry-optimized HoWClO4 structure, from Materials Project.

Structure (CIF):
```
data_HoWClO4
_chemical_formula_sum 'Ho4 W4 Cl4 O16'
_space_group_name_H-M_alt 'C 1 2/m 1'
_space_group_IT_number 12
_cell_length_a 10.354
_cell_length_b 7.324
_cell_length_c 6.971
_cell_angle_alpha 90.00
_cell_angle_beta 107.84
_cell_angle_gamma 90.00
loop_
_space_group_symop_operation_xyz
'x,y,z'
'-x,-y,-z'
'-x,y,-z'
'x,-y,z'
'x+1/2,y+1/2,z'
'-x+1/2,-y+1/2,-z'
'-x+1/2,y+1/2,-z'
'x+1/2,-y+1/2,z'
loop_
_atom_site_label
_atom_site_fract_x
_atom_site_fract_y
_atom_site_fract_z
Ho1 0.222 0.000 0.118
W1 0.137 0.500 0.267
Cl1 0.011 0.000 0.771
O1 0.046 0.500 0.806
O2 0.201 0.307 0.155
O3 0.204 0.500 0.536
```

=====

(7)
The following is a PBE+U calculation of a geometry-optimized KMo2Cl7O2 structure, from Materials Project.

Structure (CIF):
```
data_KMo2Cl7O2
_chemical_formula_sum 'K4 Mo8 Cl28 O8'
_space_group_name_H-M_alt 'C 1 2/c 1'
_space_group_IT_number 15
_cell_length_a 11.395
_cell_length_b 11.964
_cell_length_c 10.688
_cell_angle_alpha 90.00
_cell_angle_beta 108.88
_cell_angle_gamma 90.00
loop_
_space_group_symop_operation_xyz
'x,y,z'
'-x,-y,-z'
'-x,y,-z+1/2'
'x,-y,z+1/2'
'x+1/2,y+1/2,z'
'-x+1/2,-y+1/2,-z'
'-x+1/2,y+1/2,-z+1/2'
'x+1/2,-y+1/2,z+1/2'
loop_
_atom_site_label
_atom_site_fract_x
_atom_site_fract_y
_atom_site_fract_z
K1 0.000 0.091 0.250
Mo1 0.112 0.258 0.662
Cl1 0.000 0.403 0.750
Cl2 0.014 0.320 0.445
Cl3 0.128 0.166 0.872
Cl4 0.155 0.084 0.582
O1 0.249 0.175 0.295
```

=====

(8)
The following is a PBE+U calculation of a geometry-optimized K4Mo2S4ClO20 structure, from Materials Project.

Structure (CIF):
```
data_K4Mo2S4ClO20
_chemical_formula_sum 'K8 Mo4 S8 Cl2 O40'
_space_group_name_H-M_alt 'P 4/m n c'
_space_group_IT_number 128
_space_group_name_Hall '-P 4 2n'
_cell_length_a 11.955
_cell_length_b 11.955
_cell_length_c 8.011
_cell_angle_alpha 90.00
_cell_angle_beta 90.00
_cell_angle_gamma 90.00
loop_
_atom_site_label
_atom_site_fract_x
_atom_site_fract_y
_atom_site_fract_z
K1 0.167 0.333 0.250
Mo1 0.000 0.000 0.142
S1 0.092 0.770 0.000
Cl1 0.000 0.000 0.500
O1 0.001 0.690 0.000
O2 0.021 0.274 0.500
O3 0.080 0.849 0.153
O4 0.204 0.723 0.000
```

=====

One value per record, in order, for formation energy from the elements: -1008 -1194 -1166 -812 -2583 -2668 -1245 -1417 meV/atom.